# 1
TlGeS2 | r2SCAN | optimized geometry

Unit cell a=9.0245 b=6.6772 c=14.1802 alpha=90.00 beta=90.00 gamma=90.00
Closest atoms and distances in Å follow each position.
Atoms (fractional coordinates):
Tl 0.0192 0.2500 0.1331  6 S 3.08-3.43
Tl 0.1493 0.7500 0.3214  5 S 3.20-3.53, 1 Ge 3.20
Tl 0.3507 0.2500 0.8214  5 S 3.20-3.53, 1 Ge 3.20
Tl 0.4808 0.7500 0.6331  6 S 3.08-3.43
Tl 0.5192 0.2500 0.3669  6 S 3.08-3.43
Tl 0.6493 0.7500 0.1786  5 S 3.20-3.53, 1 Ge 3.20
Tl 0.8507 0.2500 0.6786  5 S 3.20-3.53, 1 Ge 3.20
Tl 0.9808 0.7500 0.8669  6 S 3.08-3.43
Ge 0.0857 0.7500 0.5435  3 S 2.35-2.38
Ge 0.2492 0.7500 0.0716  4 S 2.16-2.26
Ge 0.2508 0.2500 0.5716  4 S 2.16-2.26
Ge 0.4143 0.2500 0.0435  3 S 2.35-2.38
Ge 0.5857 0.7500 0.9565  3 S 2.35-2.38
Ge 0.7492 0.7500 0.4284  4 S 2.16-2.26
Ge 0.7508 0.2500 0.9284  4 S 2.16-2.26
Ge 0.9143 0.2500 0.4565  3 S 2.35-2.38
S 0.0105 0.7500 0.0833  1 Ge 2.16
S 0.1484 0.5038 0.6547  2 Ge 2.26-2.35
S 0.1484 0.9962 0.6547  2 Ge 2.26-2.35
S 0.1722 0.2500 0.4225  2 Ge 2.23-2.38
S 0.3278 0.7500 0.9225  2 Ge 2.23-2.38
S 0.3515 0.0038 0.1547  2 Ge 2.26-2.35
S 0.3515 0.4962 0.1547  2 Ge 2.26-2.35
S 0.4895 0.2500 0.5833  1 Ge 2.16
S 0.5105 0.7500 0.4167  1 Ge 2.16
S 0.6484 0.5038 0.8453  2 Ge 2.26-2.35
S 0.6484 0.9962 0.8453  2 Ge 2.26-2.35
S 0.6722 0.2500 0.0775  2 Ge 2.23-2.38
S 0.8278 0.7500 0.5775  2 Ge 2.23-2.38
S 0.8516 0.0038 0.3453  2 Ge 2.26-2.35
S 0.8516 0.4962 0.3453  2 Ge 2.26-2.35
S 0.9895 0.2500 0.9167  1 Ge 2.16

formation energy: -0.46 eV per atom
symmetry: Pnma (62)
magnetic moment: 0.0 μB per formula unit

=====

# 2
PrMg2Cu9 | r2SCAN | optimized geometry

Unit cell a=5.0191 b=5.0191 c=16.0344 alpha=90.00 beta=90.00 gamma=120.00
Closest atoms and distances in Å follow each position.
Atoms (fractional coordinates):
Pr 0.3333 0.6667 0.2500  18 Cu 2.90-3.24
Pr 0.6667 0.3333 0.7500  18 Cu 2.90-3.24
Mg 0.3333 0.6667 0.0310  12 Cu 2.85-2.94, 3 Mg 3.06
Mg 0.3333 0.6667 0.4690  12 Cu 2.85-2.94, 3 Mg 3.06
Mg 0.6667 0.3333 0.5310  12 Cu 2.85-2.94, 3 Mg 3.06
Mg 0.6667 0.3333 0.9690  12 Cu 2.85-2.94, 3 Mg 3.06
Cu 0.0000 0.0000 0.0000  6 Cu 2.44
Cu 0.0000 0.0000 0.2500  6 Cu 2.51
Cu 0.0000 0.0000 0.5000  6 Cu 2.44
Cu 0.0000 0.0000 0.7500  6 Cu 2.51
Cu 0.1679 0.3358 0.6223  7 Cu 2.44-2.53
Cu 0.1679 0.3358 0.8777  7 Cu 2.44-2.53
Cu 0.1679 0.8321 0.6223  7 Cu 2.44-2.53
Cu 0.1679 0.8321 0.8777  7 Cu 2.44-2.53
Cu 0.3333 0.6667 0.7500  6 Cu 2.50
Cu 0.3358 0.1679 0.1223  7 Cu 2.44-2.53
Cu 0.3358 0.1679 0.3777  7 Cu 2.44-2.53
Cu 0.6642 0.8321 0.6223  7 Cu 2.44-2.53
Cu 0.6642 0.8321 0.8777  7 Cu 2.44-2.53
Cu 0.6667 0.3333 0.2500  6 Cu 2.50
Cu 0.8321 0.1679 0.1223  7 Cu 2.44-2.53
Cu 0.8321 0.1679 0.3777  7 Cu 2.44-2.53
Cu 0.8321 0.6642 0.1223  7 Cu 2.44-2.53
Cu 0.8321 0.6642 0.3777  7 Cu 2.44-2.53

formation energy: -0.15 eV per atom
symmetry: P6_3/mmc (194)
magnetic moment: 0.0 μB per formula unit

=====

# 3
NbO2F | r2SCAN | optimized geometry

Unit cell a=5.3902 b=5.3902 c=5.6097 alpha=119.50 beta=119.50 gamma=61.40
Closest atoms and distances in Å follow each position.
Atoms (fractional coordinates):
Nb 0.2182 0.7818 0.5000  4 O 1.86-2.04
Nb 0.7818 0.2182 0.0000  4 O 1.86-2.04
O 0.0025 0.0901 0.7611  2 Nb 1.89-1.92
O 0.0901 0.0025 0.2611  2 Nb 1.89-1.92
O 0.5782 0.9345 0.7748  2 Nb 1.86-2.04
O 0.9345 0.5782 0.2748  2 Nb 1.86-2.04
F 0.4316 0.5078 0.7687  2 Nb 2.11-2.15
F 0.5078 0.4316 0.2687  2 Nb 2.11-2.15

formation energy: -2.90 eV per atom
symmetry: Cc (9)
magnetic moment: 0.0 μB per formula unit

=====

# 4
NdYZn2 | r2SCAN | optimized geometry

Unit cell a=5.1222 b=5.1222 c=5.1222 alpha=60.00 beta=60.00 gamma=60.00
Closest atoms and distances in Å follow each position.
Atoms (fractional coordinates):
Nd 0.0000 0.0000 0.0000  8 Zn 3.14
Y 0.5000 0.5000 0.5000  8 Zn 3.14
Zn 0.2500 0.2500 0.2500  4 Y 3.14, 4 Nd 3.14
Zn 0.7500 0.7500 0.7500  4 Y 3.14, 4 Nd 3.14

formation energy: -0.35 eV per atom
symmetry: Fm-3m (225)
magnetic moment: 0.0 μB per formula unit

=====

# 5
Sc2Te3 | r2SCAN | optimized geometry

Unit cell a=13.7522 b=13.1085 c=7.2082 alpha=79.43 beta=69.56 gamma=31.01
Closest atoms and distances in Å follow each position.
Atoms (fractional coordinates):
Sc 0.0428 0.0428 0.2072  6 Te 2.92-2.96
Sc 0.1247 0.1247 0.6253  6 Te 2.91-2.94
Sc 0.2072 0.2072 0.0428  6 Te 2.92-2.96
Sc 0.3747 0.3747 0.8753  6 Te 2.91-2.94
Sc 0.6253 0.6253 0.1247  6 Te 2.91-2.94
Sc 0.7928 0.7928 0.9572  6 Te 2.92-2.96
Sc 0.8753 0.8753 0.3747  6 Te 2.91-2.94
Sc 0.9572 0.9572 0.7928  6 Te 2.92-2.96
Te 0.0425 0.5422 0.2046  4 Sc 2.91-2.96
Te 0.1260 0.6240 0.6240  4 Sc 2.92-2.94
Te 0.2046 0.7107 0.0425  4 Sc 2.91-2.96
Te 0.2893 0.7954 0.4578  4 Sc 2.91-2.96
Te 0.3760 0.8740 0.8740  4 Sc 2.92-2.94
Te 0.4578 0.9575 0.2893  4 Sc 2.91-2.96
Te 0.5422 0.0425 0.7107  4 Sc 2.91-2.96
Te 0.6240 0.1260 0.1260  4 Sc 2.92-2.94
Te 0.7107 0.2046 0.5422  4 Sc 2.91-2.96
Te 0.7954 0.2893 0.9575  4 Sc 2.91-2.96
Te 0.8740 0.3760 0.3760  4 Sc 2.92-2.94
Te 0.9575 0.4578 0.7954  4 Sc 2.91-2.96

formation energy: -1.44 eV per atom
symmetry: Fddd (70)
magnetic moment: 0.0 μB per formula unit

=====

# 6
Si3Os2 | r2SCAN | optimized geometry

Unit cell a=11.1951 b=8.9656 c=5.5978 alpha=90.00 beta=90.00 gamma=90.00
Closest atoms and distances in Å follow each position.
Atoms (fractional coordinates):
Si 0.0745 0.2043 0.0582  5 Os 2.39-2.56, 1 Si 2.63
Si 0.0745 0.7957 0.5582  5 Os 2.39-2.56, 1 Si 2.63
Si 0.1312 0.3951 0.6030  4 Os 2.34-2.48
Si 0.1312 0.6049 0.1030  4 Os 2.34-2.48
Si 0.1810 0.0633 0.4106  4 Os 2.37-2.53, 1 Si 2.63
Si 0.1810 0.9367 0.9106  4 Os 2.37-2.53, 1 Si 2.63
Si 0.3190 0.4367 0.9106  4 Os 2.37-2.53, 1 Si 2.63
Si 0.3190 0.5633 0.4106  4 Os 2.37-2.53, 1 Si 2.63
Si 0.3688 0.1049 0.1030  4 Os 2.34-2.48
Si 0.3688 0.8951 0.6030  4 Os 2.34-2.48
Si 0.4255 0.2957 0.5582  5 Os 2.39-2.56, 1 Si 2.63
Si 0.4255 0.7043 0.0582  5 Os 2.39-2.56, 1 Si 2.63
Si 0.5745 0.2957 0.9418  5 Os 2.39-2.56, 1 Si 2.63
Si 0.5745 0.7043 0.4418  5 Os 2.39-2.56, 1 Si 2.63
Si 0.6312 0.1049 0.3970  4 Os 2.34-2.48
Si 0.6312 0.8951 0.8970  4 Os 2.34-2.48
Si 0.6810 0.4367 0.5894  4 Os 2.37-2.53, 1 Si 2.63
Si 0.6810 0.5633 0.0894  4 Os 2.37-2.53, 1 Si 2.63
Si 0.8190 0.0633 0.0894  4 Os 2.37-2.53, 1 Si 2.63
Si 0.8190 0.9367 0.5894  4 Os 2.37-2.53, 1 Si 2.63
Si 0.8688 0.3951 0.8970  4 Os 2.34-2.48
Si 0.8688 0.6049 0.3970  4 Os 2.34-2.48
Si 0.9255 0.2043 0.4418  5 Os 2.39-2.56, 1 Si 2.63
Si 0.9255 0.7957 0.9418  5 Os 2.39-2.56, 1 Si 2.63
Os 0.0000 0.0371 0.7500  6 Si 2.39-2.56
Os 0.0000 0.4230 0.2500  6 Si 2.34-2.48
Os 0.0000 0.5770 0.7500  6 Si 2.34-2.48
Os 0.0000 0.9629 0.2500  6 Si 2.39-2.56
Os 0.2448 0.1872 0.7626  7 Si 2.37-2.53
Os 0.2448 0.8128 0.2626  7 Si 2.37-2.53
Os 0.2552 0.3128 0.2626  7 Si 2.37-2.53
Os 0.2552 0.6872 0.7626  7 Si 2.37-2.53
Os 0.5000 0.0770 0.7500  6 Si 2.34-2.48
Os 0.5000 0.4629 0.2500  6 Si 2.39-2.56
Os 0.5000 0.5371 0.7500  6 Si 2.39-2.56
Os 0.5000 0.9230 0.2500  6 Si 2.34-2.48
Os 0.7448 0.3128 0.2374  7 Si 2.37-2.53
Os 0.7448 0.6872 0.7374  7 Si 2.37-2.53
Os 0.7552 0.1872 0.7374  7 Si 2.37-2.53
Os 0.7552 0.8128 0.2374  7 Si 2.37-2.53

formation energy: -0.47 eV per atom
symmetry: Pbcn (60)
magnetic moment: 0.0 μB per formula unit